(1)
Ca2Cr9O13 | PBE+U | relaxed

Its MP2020-corrected energy is -209.8 eV/cell. The formation energy is -2274.1 meV/atom.

abc: 3.122 5.372 16.627
angles: 81.39 85.25 75.74
Positions (direct):
1 Cr 0.046 0.772 0.122
2 O 0.616 0.064 0.684
3 O 0.051 0.209 0.539
4 O 0.436 0.585 0.621
5 Cr 0.006 0.323 0.662
6 Ca 0.752 0.234 0.230
7 O 0.580 0.986 0.856
8 Cr 0.353 0.258 0.040
9 Ca 0.248 0.766 0.770
10 Cr 0.994 0.677 0.338
11 O 0.898 0.443 0.770
12 O 0.661 0.547 0.079
13 O 0.564 0.415 0.379
14 Cr 0.247 0.095 0.421
15 Cr 0.647 0.742 0.960
16 O 0.420 0.014 0.144
17 O 0.949 0.791 0.461
18 O 0.102 0.557 0.230
19 O 0.384 0.936 0.316
20 Cr 0.954 0.228 0.878
21 O 0.339 0.453 0.921
22 O 0.000 0.000 0.000
23 Cr 0.500 0.500 0.500
24 Cr 0.753 0.905 0.579

---

(2)
Ca5Cr3O13 | PBE+U | relaxed

Its MP2020-corrected energy is -316.4 eV/cell. The formation energy is -2614.5 meV/atom.

abc: 6.962 9.827 9.955
angles: 61.09 90.00 90.00
Positions (direct):
1 O 0.750 0.333 0.163
2 Ca 0.250 0.004 0.772
3 Ca 0.750 0.785 0.982
4 O 0.750 0.996 0.008
5 O 0.250 0.389 0.142
6 O 0.447 0.655 0.089
7 Ca 0.001 0.676 0.673
8 O 0.250 0.468 0.399
9 O 0.947 0.345 0.911
10 Ca 0.250 0.215 0.018
11 O 0.750 0.496 0.345
12 O 0.944 0.911 0.743
13 O 0.556 0.911 0.743
14 O 0.553 0.345 0.911
15 O 0.058 0.262 0.656
16 O 0.250 0.004 0.992
17 O 0.250 0.504 0.655
18 O 0.250 0.137 0.474
19 Cr 0.250 0.028 0.379
20 Cr 0.250 0.376 0.592
21 O 0.558 0.738 0.344
22 O 0.444 0.089 0.257
23 O 0.250 0.667 0.837
24 Cr 0.250 0.589 0.032
25 Ca 0.750 0.996 0.228
26 Ca 0.250 0.782 0.199
27 Ca 0.750 0.218 0.801
28 O 0.053 0.655 0.089
29 Cr 0.750 0.411 0.968
30 O 0.750 0.863 0.526
31 Cr 0.750 0.624 0.408
32 O 0.442 0.262 0.656
33 Ca 0.999 0.324 0.327
34 O 0.750 0.532 0.601
35 Ca 0.499 0.676 0.673
36 O 0.750 0.611 0.858
37 Cr 0.750 0.972 0.621
38 O 0.750 0.166 0.492
39 Ca 0.501 0.324 0.327
40 O 0.250 0.834 0.508
41 O 0.942 0.738 0.344
42 O 0.056 0.089 0.257

---

(3)
CaCr2O5 | PBE+U | relaxed

Its MP2020-corrected energy is -128.5 eV/cell. The formation energy is -2275.0 meV/atom.

abc: 3.967 5.845 10.816
angles: 90.00 90.00 109.84
Positions (direct):
1 O 0.748 0.497 0.575
2 O 0.941 0.881 0.386
3 Ca 0.095 0.189 0.250
4 Ca 0.905 0.811 0.750
5 O 0.252 0.503 0.075
6 Cr 0.790 0.579 0.406
7 Cr 0.790 0.579 0.094
8 O 0.059 0.119 0.614
9 O 0.297 0.595 0.750
10 O 0.059 0.119 0.886
11 O 0.703 0.405 0.250
12 O 0.252 0.503 0.425
13 O 0.748 0.497 0.925
14 Cr 0.210 0.421 0.906
15 O 0.941 0.881 0.114
16 Cr 0.210 0.421 0.594

---

(4)
CaCr2O4 | PBE+U | relaxed

Its MP2020-corrected energy is -119.6 eV/cell. The formation energy is -2674.0 meV/atom.

abc: 6.240 6.240 6.240
angles: 60.00 60.00 60.00
Positions (direct):
1 Cr 0.000 0.500 0.500
2 O 0.269 0.269 0.694
3 Cr 0.500 0.000 0.500
4 O 0.269 0.694 0.269
5 O 0.269 0.269 0.269
6 Cr 0.500 0.500 0.500
7 O 0.694 0.269 0.269
8 Ca 0.875 0.875 0.875
9 Ca 0.125 0.125 0.125
10 O 0.731 0.306 0.731
11 O 0.306 0.731 0.731
12 O 0.731 0.731 0.731
13 O 0.731 0.731 0.306
14 Cr 0.500 0.500 0.000

---

(5)
CaCr2O4 | PBE+U | relaxed

Its MP2020-corrected energy is -118.5 eV/cell. The formation energy is -2593.2 meV/atom.

abc: 6.180 6.180 6.180
angles: 119.48 118.60 91.67
Positions (direct):
1 Cr 0.000 0.500 0.000
2 Cr 0.000 0.000 0.500
3 Cr 0.000 0.000 0.000
4 O 0.223 0.764 0.458
5 Ca 0.000 0.500 0.500
6 O 0.764 0.792 0.528
7 Cr 0.500 0.000 0.500
8 O 0.194 0.236 0.958
9 O 0.777 0.236 0.542
10 O 0.806 0.764 0.042
11 O 0.236 0.208 0.472
12 O 0.764 0.235 0.972
13 Ca 0.500 0.500 0.000
14 O 0.236 0.765 0.028

---

(6)
CaCr2O6 | PBE+U | relaxed

Its MP2020-corrected energy is -137.9 eV/cell. The formation energy is -1994.8 meV/atom.

abc: 5.333 5.387 7.372
angles: 90.24 90.11 90.45
Positions (direct):
1 O 0.729 0.714 0.474
2 Cr 0.974 0.492 0.499
3 Ca 0.985 0.952 0.260
4 O 0.293 0.286 0.966
5 O 0.294 0.285 0.532
6 O 0.061 0.508 0.249
7 Cr 0.481 0.015 0.498
8 O 0.794 0.211 0.469
9 O 0.740 0.712 0.029
10 O 0.232 0.782 0.528
11 O 0.451 0.012 0.233
12 O 0.802 0.210 0.035
13 O 0.565 0.996 0.770
14 O 0.953 0.489 0.751
15 Ca 0.490 0.546 0.738
16 Cr 0.449 0.018 0.991
17 Cr 0.958 0.483 0.009
18 O 0.232 0.790 0.970

---

Number 1: energy -7.620 eV/atom. Number 2: energy -6.823 eV/atom. Number 3: energy -7.102 eV/atom. Number 4: energy -7.582 eV/atom. Number 5: energy -7.501 eV/atom. Number 6: energy -6.759 eV/atom.